YFeCl2O3 GGA+U relaxed; spin magnetization = 4.00 μB/f.u.; energy of formation = -1693 meV per atom; SG = C2/m
1.0
1.7409 8.8571 0.0000
-1.7409 8.8571 0.0000
0.0000 6.8174 8.6555
Fe O Cl Y
2 6 4 2
Direct
0.0000 0.0000 0.5000
0.0000 0.0000 0.0000
0.7721 0.7721 0.9178
0.2279 0.2279 0.0822
0.0955 0.0955 0.0146
0.0273 0.0273 0.3143
0.9727 0.9727 0.6857
0.9045 0.9045 0.9854
0.3762 0.3762 0.5991
0.4218 0.4218 0.1998
0.5782 0.5782 0.8002
0.6238 0.6238 0.4009
0.6140 0.6140 0.1360
0.3860 0.3860 0.8640